{
  "formula": "Li12W7O28",
  "functional": "PBE with a Hubbard U",
  "state": "optimized geometry",
  "delta_e_f_ev_per_atom": -2.219,
  "e_tot_ev_per_atom": -6.514,
  "total_magnetization_mub_per_cell": 2.00,
  "sg": "P-43m, No. 215",
  "lattice_angstrom": [[8.508, 0.000, 0.000], [0.000, 8.508, 0.000], [0.000, 0.000, 8.508]],
  "species": ["Li", "Li", "Li", "Li", "Li", "Li", "Li", "Li", "Li", "Li", "Li", "Li", "W", "W", "W", "W", "W", "W", "W", "O", "O", "O", "O", "O", "O", "O", "O", "O", "O", "O", "O", "O", "O", "O", "O", "O", "O", "O", "O", "O", "O", "O", "O", "O", "O", "O", "O"],
  "frac_coords": [[0.143, 0.143, 0.402], [0.857, 0.857, 0.402], [0.857, 0.143, 0.598], [0.402, 0.143, 0.143], [0.143, 0.857, 0.598], [0.402, 0.857, 0.857], [0.598, 0.857, 0.143], [0.598, 0.143, 0.857], [0.143, 0.402, 0.143], [0.143, 0.598, 0.857], [0.857, 0.598, 0.143], [0.857, 0.402, 0.857], [0.858, 0.858, 0.858], [0.142, 0.142, 0.858], [0.142, 0.858, 0.142], [0.858, 0.142, 0.142], [0.000, 0.500, 0.500], [0.500, 0.000, 0.500], [0.500, 0.500, 0.000], [0.375, 0.375, 0.119], [0.625, 0.625, 0.119], [0.625, 0.375, 0.881], [0.119, 0.375, 0.375], [0.375, 0.625, 0.881], [0.119, 0.625, 0.625], [0.881, 0.625, 0.375], [0.881, 0.375, 0.625], [0.375, 0.119, 0.375], [0.375, 0.881, 0.625], [0.625, 0.881, 0.375], [0.625, 0.119, 0.625], [0.109, 0.109, 0.109], [0.891, 0.891, 0.109], [0.891, 0.109, 0.891], [0.109, 0.891, 0.891], [0.116, 0.116, 0.646], [0.884, 0.884, 0.646], [0.884, 0.116, 0.354], [0.646, 0.116, 0.116], [0.116, 0.884, 0.354], [0.646, 0.884, 0.884], [0.354, 0.884, 0.116], [0.354, 0.116, 0.884], [0.116, 0.646, 0.116], [0.116, 0.354, 0.884], [0.884, 0.354, 0.116], [0.884, 0.646, 0.884]]
}



{
  "formula": "VIn2O5",
  "functional": "PBE with a Hubbard U",
  "state": "optimized geometry",
  "delta_e_f_ev_per_atom": -2.150,
  "e_tot_ev_per_atom": -6.424,
  "total_magnetization_mub_per_cell": 4.00,
  "sg": "Pnma, No. 62",
  "lattice_angstrom": [[-3.169, -1.431, -0.804], [3.321, -6.202, -2.049], [-1.178, -5.251, 13.985]],
  "species": ["V", "V", "V", "V", "In", "In", "In", "In", "In", "In", "In", "In", "O", "O", "O", "O", "O", "O", "O", "O", "O", "O", "O", "O", "O", "O", "O", "O", "O", "O", "O", "O"],
  "frac_coords": [[0.250, 0.604, 0.075], [0.750, 0.396, 0.925], [0.250, 0.104, 0.425], [0.750, 0.896, 0.575], [0.250, 0.604, 0.418], [0.750, 0.896, 0.918], [0.250, 0.104, 0.082], [0.750, 0.396, 0.582], [0.250, 0.674, 0.761], [0.750, 0.326, 0.239], [0.250, 0.174, 0.739], [0.750, 0.826, 0.261], [0.250, 0.435, 0.959], [0.750, 0.565, 0.041], [0.250, 0.935, 0.541], [0.750, 0.065, 0.459], [0.250, 0.733, 0.176], [0.750, 0.267, 0.824], [0.250, 0.233, 0.324], [0.750, 0.767, 0.676], [0.250, 0.370, 0.151], [0.750, 0.630, 0.849], [0.250, 0.870, 0.349], [0.750, 0.130, 0.651], [0.750, 0.058, 0.176], [0.250, 0.942, 0.824], [0.750, 0.558, 0.324], [0.250, 0.442, 0.676], [0.250, 0.845, 0.005], [0.250, 0.345, 0.495], [0.750, 0.155, 0.995], [0.750, 0.655, 0.505]]
}



{
  "formula": "TiFe5O8",
  "functional": "PBE with a Hubbard U",
  "state": "optimized geometry",
  "delta_e_f_ev_per_atom": -1.946,
  "e_tot_ev_per_atom": -7.164,
  "total_magnetization_mub_per_cell": 110.00,
  "sg": "P-1, No. 2",
  "lattice_angstrom": [[-2.684, 1.816, -5.110], [-5.941, -0.745, -0.692], [-18.301, 23.881, 0.355]],
  "species": ["Ti", "Ti", "Ti", "Ti", "Ti", "Fe", "Fe", "Fe", "Fe", "Fe", "Fe", "Fe", "Fe", "Fe", "Fe", "Fe", "Fe", "Fe", "Fe", "Fe", "Fe", "Fe", "Fe", "Fe", "Fe", "Fe", "Fe", "Fe", "Fe", "Fe", "O", "O", "O", "O", "O", "O", "O", "O", "O", "O", "O", "O", "O", "O", "O", "O", "O", "O", "O", "O", "O", "O", "O", "O", "O", "O", "O", "O", "O", "O", "O", "O", "O", "O", "O", "O", "O", "O", "O", "O"],
  "frac_coords": [[0.000, 0.500, 0.300], [0.500, 0.000, 0.100], [0.000, 0.500, 0.500], [0.000, 0.500, 0.700], [0.000, 0.500, 0.900], [0.122, 0.123, 0.026], [0.492, 0.509, 0.000], [0.122, 0.124, 0.225], [0.500, 0.500, 0.100], [0.117, 0.127, 0.426], [0.508, 0.491, 0.200], [0.000, 0.500, 0.100], [0.500, 0.499, 0.300], [0.500, 0.500, 0.400], [0.878, 0.877, 0.174], [0.501, 0.001, 0.300], [0.117, 0.127, 0.626], [0.500, 0.500, 0.500], [0.883, 0.873, 0.374], [0.500, 0.000, 0.500], [0.500, 0.500, 0.600], [0.117, 0.127, 0.826], [0.500, 0.500, 0.700], [0.500, 0.000, 0.700], [0.883, 0.873, 0.574], [0.500, 0.500, 0.800], [0.500, 0.501, 0.900], [0.883, 0.873, 0.774], [0.499, 0.999, 0.900], [0.878, 0.876, 0.975], [0.267, 0.239, 0.053], [0.265, 0.240, 0.146], [0.256, 0.730, 0.052], [0.726, 0.242, 0.053], [0.239, 0.267, 0.253], [0.274, 0.758, 0.147], [0.744, 0.270, 0.148], [0.735, 0.760, 0.054], [0.242, 0.726, 0.253], [0.241, 0.264, 0.346], [0.731, 0.257, 0.252], [0.733, 0.761, 0.147], [0.275, 0.742, 0.348], [0.240, 0.265, 0.453], [0.760, 0.269, 0.347], [0.762, 0.734, 0.254], [0.240, 0.265, 0.546], [0.240, 0.730, 0.453], [0.725, 0.258, 0.452], [0.761, 0.735, 0.347], [0.275, 0.742, 0.548], [0.240, 0.265, 0.653], [0.760, 0.270, 0.547], [0.761, 0.735, 0.454], [0.240, 0.730, 0.653], [0.239, 0.265, 0.746], [0.761, 0.735, 0.547], [0.725, 0.258, 0.652], [0.239, 0.265, 0.853], [0.275, 0.742, 0.748], [0.760, 0.270, 0.747], [0.238, 0.266, 0.946], [0.760, 0.735, 0.654], [0.240, 0.731, 0.853], [0.725, 0.258, 0.852], [0.760, 0.735, 0.747], [0.269, 0.743, 0.948], [0.758, 0.274, 0.947], [0.759, 0.736, 0.854], [0.761, 0.733, 0.947]]
}



{
  "formula": "Li9Co7O16",
  "functional": "PBE with a Hubbard U",
  "state": "optimized geometry",
  "delta_e_f_ev_per_atom": -1.717,
  "e_tot_ev_per_atom": -5.581,
  "total_magnetization_mub_per_cell": 2.00,
  "sg": "C2/m, No. 12",
  "lattice_angstrom": [[-1.478, -2.622, -9.212], [-0.821, 0.147, -9.655], [9.530, -2.519, -1.619]],
  "species": ["Li", "Li", "Li", "Li", "Li", "Li", "Li", "Li", "Li", "Co", "Co", "Co", "Co", "Co", "Co", "Co", "O", "O", "O", "O", "O", "O", "O", "O", "O", "O", "O", "O", "O", "O", "O", "O"],
  "frac_coords": [[0.378, 0.378, 0.685], [0.120, 0.120, 0.555], [0.880, 0.880, 0.445], [0.622, 0.622, 0.315], [0.375, 0.375, 0.187], [0.124, 0.124, 0.065], [0.876, 0.876, 0.935], [0.625, 0.625, 0.813], [0.500, 0.500, 0.500], [0.000, 0.000, 0.746], [0.000, 0.000, 0.254], [0.751, 0.751, 0.625], [0.249, 0.249, 0.375], [0.749, 0.749, 0.124], [0.500, 0.500, 0.000], [0.251, 0.251, 0.876], [0.449, 0.449, 0.842], [0.194, 0.194, 0.727], [0.944, 0.944, 0.612], [0.689, 0.689, 0.470], [0.445, 0.445, 0.329], [0.191, 0.191, 0.213], [0.947, 0.947, 0.090], [0.693, 0.693, 0.973], [0.311, 0.311, 0.530], [0.056, 0.056, 0.388], [0.806, 0.806, 0.273], [0.551, 0.551, 0.158], [0.307, 0.307, 0.027], [0.053, 0.053, 0.910], [0.809, 0.809, 0.787], [0.555, 0.555, 0.671]]
}



{
  "formula": "Y2Be2FeSi2O10",
  "functional": "PBE with a Hubbard U",
  "state": "optimized geometry",
  "delta_e_f_ev_per_atom": -3.302,
  "e_tot_ev_per_atom": -8.013,
  "total_magnetization_mub_per_cell": 8.00,
  "sg": "P2_1/c, No. 14",
  "lattice_angstrom": [[7.571, 0.000, 0.000], [0.000, 4.793, 0.000], [0.000, 0.096, 10.041]],
  "species": ["Y", "Y", "Y", "Y", "Be", "Be", "Be", "Be", "Fe", "Fe", "Si", "Si", "Si", "Si", "O", "O", "O", "O", "O", "O", "O", "O", "O", "O", "O", "O", "O", "O", "O", "O", "O", "O", "O", "O"],
  "frac_coords": [[0.606, 0.001, 0.829], [0.106, 0.999, 0.671], [0.394, 0.999, 0.171], [0.894, 0.001, 0.329], [0.913, 0.534, 0.835], [0.413, 0.466, 0.665], [0.087, 0.466, 0.165], [0.587, 0.534, 0.335], [0.000, 0.000, 0.000], [0.500, 0.000, 0.500], [0.780, 0.481, 0.578], [0.280, 0.519, 0.922], [0.220, 0.519, 0.422], [0.720, 0.481, 0.078], [0.607, 0.314, 0.642], [0.107, 0.686, 0.858], [0.393, 0.686, 0.358], [0.893, 0.314, 0.142], [0.413, 0.798, 0.668], [0.913, 0.202, 0.832], [0.587, 0.202, 0.332], [0.213, 0.324, 0.049], [0.586, 0.238, 0.029], [0.086, 0.762, 0.471], [0.848, 0.691, 0.696], [0.914, 0.238, 0.529], [0.713, 0.676, 0.451], [0.414, 0.762, 0.971], [0.287, 0.324, 0.549], [0.787, 0.676, 0.951], [0.652, 0.691, 0.196], [0.152, 0.309, 0.304], [0.348, 0.309, 0.804], [0.087, 0.798, 0.168]]
}



{
  "formula": "Li2MnSe2O6",
  "functional": "PBE with a Hubbard U",
  "state": "optimized geometry",
  "delta_e_f_ev_per_atom": -1.666,
  "e_tot_ev_per_atom": -5.654,
  "total_magnetization_mub_per_cell": 0.00,
  "lattice_angstrom": [[0.001, -6.410, -5.933], [8.325, -4.806, -0.002], [-5.551, -3.204, 5.933]],
  "species": ["Li", "Li", "Li", "Li", "Li", "Li", "Li", "Li", "Mn", "Mn", "Mn", "Mn", "Se", "Se", "Se", "Se", "Se", "Se", "Se", "Se", "O", "O", "O", "O", "O", "O", "O", "O", "O", "O", "O", "O", "O", "O", "O", "O", "O", "O", "O", "O", "O", "O", "O", "O"],
  "frac_coords": [[0.269, 0.154, 0.731], [0.519, 0.654, 0.981], [0.769, 0.154, 0.231], [0.019, 0.654, 0.481], [0.231, 0.846, 0.769], [0.481, 0.346, 0.019], [0.731, 0.846, 0.269], [0.981, 0.346, 0.519], [0.500, 0.000, 0.500], [0.750, 0.500, 0.750], [0.000, 0.000, 0.000], [0.251, 0.500, 0.251], [0.431, 0.379, 0.569], [0.681, 0.879, 0.819], [0.931, 0.379, 0.069], [0.181, 0.879, 0.319], [0.069, 0.621, 0.931], [0.319, 0.121, 0.181], [0.569, 0.621, 0.431], [0.819, 0.121, 0.681], [0.251, 0.499, 0.995], [0.501, 0.999, 0.246], [0.751, 0.499, 0.495], [0.001, 0.999, 0.746], [0.372, 0.254, 0.627], [0.623, 0.754, 0.878], [0.872, 0.254, 0.128], [0.122, 0.754, 0.378], [0.496, 0.501, 0.751], [0.746, 0.001, 0.001], [0.995, 0.501, 0.251], [0.246, 0.001, 0.501], [0.005, 0.499, 0.749], [0.255, 0.999, 0.999], [0.504, 0.499, 0.249], [0.754, 0.999, 0.499], [0.249, 0.501, 0.504], [0.499, 0.001, 0.755], [0.749, 0.501, 0.004], [0.999, 0.001, 0.255], [0.128, 0.746, 0.873], [0.378, 0.246, 0.122], [0.627, 0.746, 0.372], [0.878, 0.246, 0.622]]
}



{
  "formula": "Li9Mn2Co5O16",
  "functional": "PBE with a Hubbard U",
  "state": "optimized geometry",
  "delta_e_f_ev_per_atom": -1.789,
  "e_tot_ev_per_atom": -5.779,
  "total_magnetization_mub_per_cell": 14.00,
  "sg": "P1, No. 1",
  "lattice_angstrom": [[3.017, 0.000, 0.000], [1.103, 9.671, 0.000], [0.514, 0.438, 9.944]],
  "species": ["Li", "Li", "Li", "Li", "Li", "Li", "Li", "Li", "Li", "Mn", "Mn", "Co", "Co", "Co", "Co", "Co", "O", "O", "O", "O", "O", "O", "O", "O", "O", "O", "O", "O", "O", "O", "O", "O"],
  "frac_coords": [[0.870, 0.256, 0.811], [0.133, 0.747, 0.686], [0.376, 0.254, 0.564], [0.628, 0.747, 0.437], [0.871, 0.250, 0.311], [0.124, 0.748, 0.187], [0.367, 0.256, 0.065], [0.628, 0.741, 0.937], [0.250, 0.500, 0.875], [0.000, 0.000, 0.000], [0.000, 0.000, 0.500], [0.499, 0.000, 0.750], [0.752, 0.499, 0.634], [0.250, 0.500, 0.375], [0.499, 0.000, 0.250], [0.748, 0.502, 0.116], [0.416, 0.116, 0.903], [0.690, 0.615, 0.763], [0.915, 0.113, 0.657], [0.165, 0.614, 0.525], [0.415, 0.116, 0.403], [0.709, 0.610, 0.274], [0.915, 0.113, 0.157], [0.177, 0.615, 0.038], [0.323, 0.386, 0.712], [0.583, 0.886, 0.596], [0.793, 0.389, 0.477], [0.087, 0.885, 0.344], [0.335, 0.386, 0.224], [0.582, 0.886, 0.097], [0.812, 0.384, 0.988], [0.088, 0.885, 0.844]]
}